No. 1
Entry from Materials Project: crystalline PaSnRu2 at its relaxed geometry (meta-GGA r2SCAN).

a = 4.727 Å, b = 4.727 Å, c = 4.727 Å
α = 60.00°, β = 60.00°, γ = 60.00°
Atoms (fractional coordinates):
Pa: 0.500 0.500 0.500
Sn: 0.000 0.000 0.000
Ru: 0.750 0.750 0.750
Ru: 0.250 0.250 0.250

Results
total energy	-38.49	eV per atom
theoretical density	12.27	g cm⁻³
formation energy	-1.5	eV/f.u.

No. 2
Entry from Materials Project: crystalline TaPt3 at its relaxed geometry (meta-GGA r2SCAN).

a = 4.592 Å, b = 4.894 Å, c = 5.570 Å
α = 90.00°, β = 90.00°, γ = 90.00°
Atoms (fractional coordinates):
Ta: 0.750 0.340 0.750
Ta: 0.250 0.660 0.250
Pt: 0.750 0.834 0.500
Pt: 0.250 0.166 0.000
Pt: 0.750 0.834 0.000
Pt: 0.250 0.166 0.500
Pt: 0.750 0.342 0.250
Pt: 0.250 0.658 0.750

Results
total energy	-51.53	eV per atom
theoretical density	20.33	g cm⁻³
formation energy	-3.1	eV/f.u.